# 1
Below is a relaxed VOF crystal, with properties calculated at the meta-GGA r2SCAN level.

abc: 4.6079 4.6294 9.2332
angles: 90.00 90.16 90.00
With the nearest neighbours (Å) after each atom.
Space group P2_1 (No. 4)
One atom of each set of equivalent atoms:
V 0.2086 0.0000 0.0842 x2  3 O 1.86-1.93
V 0.2226 0.9884 0.7496 x2  3 O 1.87-1.98, 3 F 2.06-2.09
V 0.2806 0.0458 0.4171 x2  3 O 1.87-1.97, 2 F 2.06-2.07
O 0.0521 0.1938 0.9168 x2  3 V 1.86-1.98
O 0.0624 0.1997 0.2503 x2  3 V 1.87-1.97
O 0.4355 0.8344 0.5832 x2  3 V 1.87-1.96
F 0.0415 0.2251 0.5835 x2  3 V 2.06-2.10
F 0.4454 0.7925 0.9176 x2  3 V 2.07-2.12
F 0.4627 0.8136 0.2499 x2  3 V 2.06-2.11

Values from the calculation:
ΔH_f (0 K) in kJ/mol of atoms: -282.6
V in Å³/cell: 197
Calculated density in kg/m³: 4347

---

# 2
Below is a relaxed LaCeRh4 crystal, with properties calculated at the meta-GGA r2SCAN level.

abc: 5.3705 5.3705 13.1811
angles: 90.00 90.00 120.00
With the nearest neighbours (Å) after each atom.
Space group R3m (No. 160, hexagonal axes)
One atom of each set of equivalent atoms:
La 0.0000 0.0000 0.0000 x3  12 Rh 3.15, 4 Ce 3.29-3.30
Ce 0.0000 0.0000 0.7494 x3  12 Rh 3.15, 4 La 3.29-3.30
Rh 0.0000 0.0000 0.3746 x3  6 Rh 2.69
Rh 0.9999 0.4999 0.8747 x9  6 Rh 2.68-2.69

Values from the calculation:
ΔH_f (0 K) in kJ/mol of atoms: -71.1
V in Å³/cell: 329
Calculated density in kg/m³: 10450

---

# 3
Below is a relaxed Tl2Te3O7 crystal, with properties calculated at the meta-GGA r2SCAN level.

abc: 6.8590 7.4654 9.9958
angles: 92.36 108.93 112.87
With the nearest neighbours (Å) after each atom.
Space group P-1 (No. 2)
One atom of each set of equivalent atoms:
Tl 0.1159 0.3518 0.1727 x2  3 O 2.48-2.71
Tl 0.2967 0.5401 0.5665 x2  3 O 2.51-2.75
Te 0.1316 0.8546 0.2313 x2  3 O 1.85-1.91
Te 0.2635 0.0118 0.6632 x2  2 O 1.84-1.94
Te 0.4876 0.7111 0.9836 x2  3 O 1.85-2.04
O 0.0532 0.9702 0.3680 x2  1 Te 1.91
O 0.1074 0.7404 0.6298 x2  1 Te 1.84
O 0.1593 0.6493 0.3205 x2  1 Te 1.85
O 0.2359 0.6556 0.0332 x2  1 Te 1.85
O 0.3233 0.0318 0.8677 x2  2 Te 1.94-2.04
O 0.3479 0.4002 0.8780 x2  1 Te 1.92
O 0.4437 0.0414 0.3094 x2  2 Te 1.91-2.13

Values from the calculation:
ΔH_f (0 K) in kJ/mol of atoms: -104.0
V in Å³/cell: 438
Calculated density in kg/m³: 6854